Entry 1:
{"formula": "Rb2AgAsF6", "functional": "GGA-PBE", "state": "relaxed", "energy_ev_per_cell": -42.48, "energy_corrected_mp2020_ev_per_fu": -45.25, "spacegroup": "Fm-3m, No. 225", "magnetic_moment_mub_per_fu": 0.00, "lattice_angstrom": [[0.0000, 4.5214, 4.5214], [4.5214, 0.0000, 4.5214], [4.5214, 4.5214, 0.0000]], "species": ["Rb", "F", "F", "Ag", "F", "As", "Rb", "F", "F", "F"], "fractional_positions": [[0.7500, 0.7500, 0.7500], [0.2289, 0.7711, 0.2289], [0.7711, 0.2289, 0.7711], [0.5000, 0.5000, 0.5000], [0.7711, 0.2289, 0.2289], [0.0000, 0.0000, 0.0000], [0.2500, 0.2500, 0.2500], [0.7711, 0.7711, 0.2289], [0.2289, 0.7711, 0.7711], [0.2289, 0.2289, 0.7711]]}

=====

Entry 2:
{"formula": "KEu3", "functional": "GGA-PBE", "state": "relaxed", "energy_ev_per_cell": -31.06, "spacegroup": "I4/mmm, No. 139", "magnetic_moment_mub_per_fu": 21.99, "lattice_angstrom": [[-2.9186, 2.9186, 6.0490], [2.9186, -2.9186, 6.0490], [2.9186, 2.9186, -6.0490]], "species": ["Eu", "Eu", "K", "Eu"], "fractional_positions": [[0.5000, 0.5000, 0.0000], [0.7500, 0.2500, 0.5000], [0.0000, 0.0000, 0.0000], [0.2500, 0.7500, 0.5000]]}

=====

Entry 3:
{"formula": "KCdCl3", "functional": "GGA-PBE", "state": "relaxed", "energy_ev_per_cell": -59.36, "energy_corrected_mp2020_ev_per_fu": -16.68, "spacegroup": "Pnma, No. 62", "lattice_angstrom": [[-2.4681, -3.0647, -1.0388], [-1.6763, -1.6026, 8.7102], [-11.5240, 9.4434, -0.4804]], "species": ["Cl", "K", "K", "Cl", "Cl", "Cd", "K", "Cd", "Cl", "Cl", "Cl", "Cl", "Cl", "Cd", "Cl", "Cl", "Cd", "Cl", "Cl", "K"], "fractional_positions": [[0.7500, 0.9808, 0.8991], [0.2500, 0.9278, 0.3216], [0.2500, 0.4278, 0.1784], [0.7500, 0.3336, 0.0101], [0.7500, 0.4808, 0.6009], [0.7500, 0.8286, 0.0545], [0.7500, 0.5722, 0.8216], [0.7500, 0.3286, 0.4455], [0.7500, 0.2088, 0.2907], [0.7500, 0.7088, 0.2093], [0.2500, 0.2912, 0.7907], [0.7500, 0.8336, 0.4899], [0.2500, 0.5192, 0.3991], [0.2500, 0.1714, 0.9455], [0.2500, 0.6664, 0.9899], [0.2500, 0.7912, 0.7093], [0.2500, 0.6714, 0.5545], [0.2500, 0.0192, 0.1009], [0.2500, 0.1664, 0.5101], [0.7500, 0.0722, 0.6784]]}

=====

Entry 4:
{"formula": "RbZn2P3O14", "functional": "GGA-PBE", "state": "relaxed", "energy_ev_per_cell": -463.86, "energy_corrected_mp2020_ev_per_fu": -118.22, "spacegroup": "P2_12_12_1, No. 19", "magnetic_moment_mub_per_fu": 0.31, "lattice_angstrom": [[8.5629, 0.0000, 0.0000], [0.0000, 10.2877, 0.0000], [0.0000, 0.0000, 16.1989]], "species": ["O", "O", "O", "Zn", "O", "O", "O", "O", "O", "P", "O", "O", "O", "O", "O", "O", "O", "O", "O", "Zn", "O", "P", "P", "P", "Zn", "O", "P", "O", "O", "Zn", "O", "O", "O", "Zn", "O", "Rb", "P", "O", "O", "O", "P", "Rb", "O", "P", "O", "O", "O", "O", "O", "P", "Rb", "O", "O", "O", "P", "O", "O", "O", "O", "O", "P", "O", "O", "O", "O", "Zn", "Zn", "O", "O", "O", "O", "O", "Rb", "O", "Zn", "O", "O", "O", "P", "O"], "fractional_positions": [[0.5602, 0.0601, 0.5001], [0.4462, 0.5732, 0.2983], [0.8687, 0.7319, 0.6232], [0.9139, 0.1597, 0.3349], [0.4207, 0.7538, 0.5981], [0.5793, 0.2538, 0.9019], [0.7972, 0.5383, 0.2534], [0.8085, 0.1229, 0.5820], [0.9504, 0.7756, 0.1137], [0.6412, 0.2047, 0.2096], [0.2972, 0.9617, 0.7466], [0.1863, 0.6843, 0.2664], [0.1865, 0.2348, 0.5268], [0.7906, 0.8474, 0.2741], [0.3135, 0.7652, 0.0268], [0.6865, 0.2652, 0.4732], [0.7028, 0.4617, 0.7534], [0.0617, 0.2068, 0.7261], [0.0636, 0.4885, 0.1215], [0.4139, 0.3403, 0.6651], [0.0793, 0.2462, 0.0981], [0.6530, 0.1697, 0.5447], [0.1412, 0.2953, 0.7904], [0.3366, 0.6347, 0.6354], [0.8758, 0.1104, 0.6962], [0.1878, 0.6362, 0.5791], [0.3470, 0.6697, 0.9553], [0.3085, 0.3771, 0.4180], [0.2028, 0.0383, 0.2466], [0.5861, 0.8403, 0.8349], [0.9383, 0.7068, 0.7739], [0.9398, 0.9399, 0.0001], [0.4398, 0.5601, 0.9999], [0.6242, 0.8896, 0.1962], [0.4504, 0.7244, 0.8863], [0.2018, 0.9196, 0.5030], [0.1634, 0.3653, 0.1354], [0.4383, 0.7932, 0.2261], [0.8137, 0.1843, 0.2336], [0.6878, 0.8638, 0.4209], [0.3588, 0.7047, 0.2904], [0.2982, 0.0804, 0.0030], [0.7094, 0.1526, 0.7741], [0.8470, 0.8303, 0.0447], [0.8122, 0.1362, 0.9209], [0.1313, 0.2319, 0.8768], [0.7143, 0.5516, 0.1918], [0.5496, 0.2244, 0.6137], [0.5636, 0.0115, 0.8785], [0.8588, 0.7953, 0.7096], [0.7982, 0.4196, 0.9970], [0.8135, 0.7348, 0.9732], [0.2143, 0.9484, 0.8082], [0.6915, 0.8771, 0.0820], [0.6634, 0.1347, 0.8646], [0.5617, 0.2932, 0.2739], [0.6313, 0.2681, 0.1232], [0.5538, 0.0732, 0.2017], [0.3122, 0.3638, 0.0791], [0.4364, 0.5115, 0.6215], [0.1530, 0.3303, 0.4553], [0.0538, 0.4268, 0.7983], [0.7857, 0.4484, 0.6918], [0.9462, 0.9268, 0.7017], [0.3687, 0.7681, 0.3768], [0.0861, 0.6597, 0.1651], [0.3758, 0.3896, 0.3038], [0.3137, 0.3157, 0.7664], [0.2857, 0.0516, 0.3082], [0.2094, 0.3474, 0.2259], [0.9364, 0.9885, 0.3785], [0.0496, 0.2756, 0.3863], [0.7018, 0.5804, 0.4970], [0.9207, 0.7462, 0.4019], [0.1242, 0.6104, 0.8038], [0.2906, 0.6526, 0.7259], [0.6863, 0.8157, 0.7336], [0.0602, 0.4399, 0.4999], [0.8366, 0.8653, 0.3646], [0.1915, 0.6229, 0.9180]]}

=====

Entry 5:
{"formula": "MnNCl3", "functional": "GGA-PBE", "state": "relaxed", "energy_ev_per_cell": -88.72, "energy_corrected_mp2020_ev_per_fu": -24.02, "spacegroup": "Pnma, No. 62", "magnetic_moment_mub_per_fu": 0.00, "lattice_angstrom": [[6.9478, 0.0000, 0.0000], [0.0000, 7.3004, 0.0000], [0.0000, 0.0000, 8.6209]], "species": ["Cl", "Cl", "N", "Mn", "Cl", "Cl", "Cl", "N", "Mn", "Cl", "Cl", "Mn", "N", "Cl", "Cl", "Cl", "N", "Cl", "Mn", "Cl"], "fractional_positions": [[0.5517, 0.1187, 0.7500], [0.8249, 0.1740, 0.4171], [0.0660, 0.9168, 0.7500], [0.0000, 0.5000, 0.5000], [0.8249, 0.1740, 0.0829], [0.1751, 0.8260, 0.5829], [0.3249, 0.3260, 0.0829], [0.9340, 0.0832, 0.2500], [0.0000, 0.5000, 0.0000], [0.3249, 0.3260, 0.4171], [0.4483, 0.8813, 0.2500], [0.5000, 0.0000, 0.0000], [0.4340, 0.4168, 0.2500], [0.9483, 0.6187, 0.2500], [0.6751, 0.6740, 0.9171], [0.1751, 0.8260, 0.9171], [0.5660, 0.5832, 0.7500], [0.0517, 0.3813, 0.7500], [0.5000, 0.0000, 0.5000], [0.6751, 0.6740, 0.5829]]}

=====

Entry 6:
{"formula": "Mg16PaAl12", "functional": "GGA-PBE", "state": "relaxed", "energy_ev_per_cell": -81.23, "spacegroup": "I-43m, No. 217", "magnetic_moment_mub_per_fu": 0.61, "lattice_angstrom": [[7.4488, -4.3006, 3.0410], [0.0000, 8.6011, 3.0410], [-7.4488, -4.3006, 3.0410]], "species": ["Mg", "Mg", "Mg", "Mg", "Mg", "Al", "Mg", "Al", "Al", "Al", "Mg", "Mg", "Mg", "Al", "Al", "Al", "Al", "Al", "Mg", "Al", "Mg", "Mg", "Mg", "Mg", "Pa", "Al", "Mg", "Al", "Mg"], "fractional_positions": [[0.0000, 0.3621, 0.0000], [0.6044, 0.0000, 0.3209], [0.2836, 0.6791, 0.6791], [0.6791, 0.2836, 0.6791], [0.3209, 0.6044, 0.0000], [0.6334, 0.8145, 0.0000], [0.7164, 0.3956, 0.3956], [0.8189, 0.1855, 0.1855], [0.0000, 0.6334, 0.8145], [0.1855, 0.8189, 0.1855], [0.3956, 0.7164, 0.3956], [0.6044, 0.3209, 0.0000], [0.0000, 0.3209, 0.6044], [0.1855, 0.1855, 0.8189], [0.6334, 0.0000, 0.8145], [0.8145, 0.0000, 0.6334], [0.1811, 0.3666, 0.3666], [0.3666, 0.3666, 0.1811], [0.6791, 0.6791, 0.2836], [0.0000, 0.8145, 0.6334], [0.3621, 0.0000, 0.0000], [0.3209, 0.0000, 0.6044], [0.0000, 0.0000, 0.3621], [0.0000, 0.6044, 0.3209], [0.0000, 0.0000, 0.0000], [0.8145, 0.6334, 0.0000], [0.6379, 0.6379, 0.6379], [0.3666, 0.1811, 0.3666], [0.3956, 0.3956, 0.7164]]}

=====

Entry 7:
{"formula": "Mn2CuN2", "functional": "GGA-PBE", "state": "relaxed", "energy_ev_per_cell": -39.46, "energy_corrected_mp2020_ev_per_fu": -40.18, "spacegroup": "C2/m, No. 12", "magnetic_moment_mub_per_fu": 2.92, "lattice_angstrom": [[3.1242, -0.0527, -0.8066], [-1.6078, 2.7847, 0.0000], [-1.5616, -0.9016, 6.9004]], "species": ["Cu", "Mn", "N", "Mn", "N"], "fractional_positions": [[0.0000, 0.0000, 0.5000], [0.1463, 0.5732, 0.8596], [0.4184, 0.2092, 0.8123], [0.8537, 0.4268, 0.1404], [0.5816, 0.7908, 0.1877]]}

=====

Entry 8:
{"formula": "CsB6Br6", "functional": "GGA-PBE", "state": "relaxed", "energy_ev_per_cell": -239.90, "energy_corrected_mp2020_ev_per_fu": -63.18, "spacegroup": "R-3, No. 148", "lattice_angstrom": [[-5.6850, -15.4459, -5.0477], [4.4469, -15.6604, -5.5993], [-0.1749, -16.8849, 3.3531]], "species": ["B", "B", "B", "B", "Br", "Br", "Br", "B", "B", "B", "B", "Br", "B", "Br", "Br", "Br", "B", "B", "B", "Br", "B", "Br", "B", "Cs", "Cs", "B", "B", "Br", "Br", "Br", "Br", "Br", "Br", "Br", "B", "Br", "Br", "B", "B", "Cs", "B", "Br", "Br", "Cs", "B", "B", "Br", "B", "Br", "Br", "Br", "B"], "fractional_positions": [[0.8611, 0.9742, 0.1847], [0.9742, 0.1847, 0.8611], [0.6768, 0.4461, 0.3572], [0.6428, 0.3232, 0.5539], [0.1219, 0.6148, 0.8090], [0.4975, 0.3779, 0.8045], [0.6012, 0.2986, 0.0549], [0.4437, 0.6414, 0.4984], [0.5539, 0.6428, 0.3232], [0.9522, 0.0826, 0.8814], [0.4984, 0.4437, 0.6414], [0.1955, 0.5025, 0.6221], [0.1847, 0.8611, 0.9742], [0.1910, 0.8781, 0.3852], [0.8090, 0.1219, 0.6148], [0.3779, 0.8045, 0.4975], [0.5563, 0.3586, 0.5016], [0.4461, 0.3572, 0.6768], [0.0478, 0.9174, 0.1186], [0.1016, 0.8225, 0.2561], [0.5016, 0.5563, 0.3586], [0.3988, 0.7014, 0.9451], [0.8814, 0.9522, 0.0826], [0.2085, 0.2085, 0.2085], [0.3734, 0.3734, 0.3734], [0.0826, 0.8814, 0.9522], [0.9174, 0.1186, 0.0478], [0.8984, 0.1775, 0.7439], [0.9451, 0.3988, 0.7014], [0.8781, 0.3852, 0.1910], [0.6148, 0.8090, 0.1219], [0.5025, 0.6221, 0.1955], [0.2561, 0.1016, 0.8225], [0.8225, 0.2561, 0.1016], [0.3232, 0.5539, 0.6428], [0.2986, 0.0549, 0.6012], [0.8045, 0.4975, 0.3779], [0.1389, 0.0258, 0.8153], [0.3572, 0.6768, 0.4461], [0.7915, 0.7915, 0.7915], [0.0258, 0.8153, 0.1389], [0.0549, 0.6012, 0.2986], [0.7439, 0.8984, 0.1775], [0.6266, 0.6266, 0.6266], [0.6414, 0.4984, 0.4437], [0.1186, 0.0478, 0.9174], [0.6221, 0.1955, 0.5025], [0.8153, 0.1389, 0.0258], [0.1775, 0.7439, 0.8984], [0.7014, 0.9451, 0.3988], [0.3852, 0.1910, 0.8781], [0.3586, 0.5016, 0.5563]]}